[1]
{
  "formula": "HoAu3",
  "functional": "PBE",
  "state": "optimized geometry",
  "cell": [[-0.894, -1.785, 4.632], [5.071, 0.050, 0.998], [-0.477, 5.776, 2.134]],
  "species": ["Au", "Au", "Au", "Au", "Au", "Au", "Ho", "Ho"],
  "fractional_positions": [[0.000, 0.839, 0.744], [0.500, 0.161, 0.756], [0.000, 0.335, 0.500], [0.000, 0.839, 0.256], [0.500, 0.161, 0.244], [0.500, 0.665, 0.000], [0.500, 0.656, 0.500], [0.000, 0.344, 0.000]],
  "spacegroup": "No. 59",
  "ef_ev_per_atom": -0.72
}

[2]
{
  "formula": "HoAu",
  "functional": "PBE",
  "state": "optimized geometry",
  "cell": [[-1.156, 3.249, 1.003], [-1.490, 0.468, -3.234], [-3.056, -1.457, 1.197]],
  "species": ["Ho", "Au"],
  "fractional_positions": [[0.500, 0.500, 0.500], [0.000, 0.000, 0.000]],
  "spacegroup": "No. 221",
  "ef_ev_per_atom": -0.88
}

[3]
{
  "formula": "HoAu6",
  "functional": "PBE",
  "state": "optimized geometry",
  "cell": [[10.505, 0.000, 0.000], [0.000, 10.505, 0.000], [0.000, 0.000, 9.932]],
  "species": ["Au", "Au", "Au", "Au", "Au", "Au", "Au", "Au", "Au", "Au", "Au", "Au", "Au", "Au", "Au", "Au", "Au", "Au", "Au", "Au", "Au", "Au", "Au", "Au", "Au", "Au", "Au", "Au", "Au", "Au", "Au", "Au", "Au", "Au", "Au", "Au", "Au", "Au", "Au", "Au", "Au", "Au", "Au", "Au", "Au", "Au", "Au", "Au", "Ho", "Ho", "Ho", "Ho", "Ho", "Ho", "Ho", "Ho"],
  "fractional_positions": [[0.898, 0.602, 0.430], [0.550, 0.372, 0.605], [0.071, 0.237, 0.671], [0.571, 0.737, 0.829], [0.571, 0.263, 0.329], [0.763, 0.929, 0.829], [0.429, 0.737, 0.329], [0.763, 0.071, 0.329], [0.950, 0.872, 0.395], [0.450, 0.372, 0.105], [0.050, 0.872, 0.895], [0.500, 0.000, 0.318], [0.950, 0.128, 0.895], [0.898, 0.398, 0.930], [0.929, 0.763, 0.671], [0.372, 0.450, 0.395], [0.128, 0.950, 0.605], [0.628, 0.450, 0.895], [0.602, 0.898, 0.070], [0.000, 0.500, 0.682], [0.500, 0.000, 0.818], [0.450, 0.628, 0.605], [0.929, 0.237, 0.171], [0.102, 0.602, 0.930], [0.429, 0.263, 0.829], [0.237, 0.071, 0.829], [0.263, 0.571, 0.171], [0.628, 0.550, 0.395], [0.263, 0.429, 0.671], [0.398, 0.102, 0.070], [0.398, 0.898, 0.570], [0.372, 0.550, 0.895], [0.071, 0.763, 0.171], [0.050, 0.128, 0.395], [0.250, 0.750, 0.750], [0.128, 0.050, 0.105], [0.750, 0.250, 0.750], [0.872, 0.950, 0.105], [0.602, 0.102, 0.570], [0.237, 0.929, 0.329], [0.737, 0.429, 0.171], [0.550, 0.628, 0.105], [0.737, 0.571, 0.671], [0.872, 0.050, 0.605], [0.750, 0.750, 0.250], [0.250, 0.250, 0.250], [0.000, 0.500, 0.182], [0.102, 0.398, 0.430], [0.675, 0.825, 0.538], [0.825, 0.325, 0.462], [0.175, 0.675, 0.462], [0.675, 0.175, 0.038], [0.825, 0.675, 0.962], [0.175, 0.325, 0.962], [0.325, 0.825, 0.038], [0.325, 0.175, 0.538]],
  "spacegroup": "No. 138",
  "ef_ev_per_atom": -0.42
}

[4]
{
  "formula": "HoAu4",
  "functional": "PBE",
  "state": "optimized geometry",
  "cell": [[-3.568, 1.464, -1.728], [-0.726, 5.153, 0.695], [0.563, 1.615, -4.963]],
  "species": ["Ho", "Au", "Au", "Au", "Au"],
  "fractional_positions": [[0.000, 0.000, 0.000], [0.199, 0.202, 0.400], [0.599, 0.600, 0.202], [0.801, 0.798, 0.600], [0.401, 0.400, 0.798]],
  "spacegroup": "No. 87",
  "ef_ev_per_atom": -0.60
}

[5]
{
  "formula": "HoAu",
  "functional": "PBE",
  "state": "optimized geometry",
  "cell": [[-0.597, 4.560, -3.519], [-0.918, -1.788, 5.431], [4.264, 1.495, 1.213]],
  "species": ["Au", "Au", "Ho", "Ho"],
  "fractional_positions": [[0.412, 0.588, 0.250], [0.588, 0.412, 0.750], [0.861, 0.139, 0.750], [0.139, 0.861, 0.250]],
  "spacegroup": "No. 63",
  "ef_ev_per_atom": -0.89
}

[6]
{
  "formula": "Ho2IrAu",
  "functional": "PBE",
  "state": "optimized geometry",
  "cell": [[0.000, 3.497, 3.497], [3.497, 0.000, 3.497], [3.497, 3.497, 0.000]],
  "species": ["Ho", "Ho", "Au", "Ir"],
  "fractional_positions": [[0.250, 0.250, 0.250], [0.750, 0.750, 0.750], [0.500, 0.500, 0.500], [0.000, 0.000, 0.000]],
  "spacegroup": "No. 225",
  "ef_ev_per_atom": -0.86
}

[7]
{
  "formula": "LiHoAu2",
  "functional": "PBE",
  "state": "optimized geometry",
  "cell": [[0.000, 3.429, 3.429], [3.429, 0.000, 3.429], [3.429, 3.429, 0.000]],
  "species": ["Ho", "Au", "Au", "Li"],
  "fractional_positions": [[0.500, 0.500, 0.500], [0.750, 0.750, 0.750], [0.250, 0.250, 0.250], [0.000, 0.000, 0.000]],
  "spacegroup": "No. 225",
  "ef_ev_per_atom": -0.72
}

[8]
{
  "formula": "HoLuAu2",
  "functional": "PBE",
  "state": "optimized geometry",
  "cell": [[-4.493, 0.043, 2.278], [-2.640, 4.281, 0.282], [-4.201, 0.553, -2.726]],
  "species": ["Au", "Au", "Lu", "Ho"],
  "fractional_positions": [[0.750, 0.750, 0.750], [0.250, 0.250, 0.250], [0.500, 0.500, 0.500], [0.000, 0.000, 0.000]],
  "spacegroup": "No. 225",
  "ef_ev_per_atom": -0.88
}

[9]
{
  "formula": "HoSi2Au2",
  "functional": "PBE",
  "state": "optimized geometry",
  "cell": [[-2.129, 2.129, 5.137], [2.129, -2.129, 5.137], [2.129, 2.129, -5.137]],
  "species": ["Ho", "Au", "Au", "Si", "Si"],
  "fractional_positions": [[0.000, 0.000, 0.000], [0.750, 0.250, 0.500], [0.250, 0.750, 0.500], [0.612, 0.612, 0.000], [0.388, 0.388, 0.000]],
  "spacegroup": "No. 139",
  "ef_ev_per_atom": -0.54
}

[10]
{
  "formula": "HoSnAu",
  "functional": "PBE",
  "state": "optimized geometry",
  "cell": [[-2.350, -4.071, 0.000], [-2.350, 4.071, 0.000], [0.000, 0.000, -7.432]],
  "species": ["Au", "Au", "Sn", "Sn", "Ho", "Ho"],
  "fractional_positions": [[0.667, 0.333, 0.421], [0.333, 0.667, 0.921], [0.667, 0.333, 0.024], [0.333, 0.667, 0.524], [0.000, 0.000, 0.250], [0.000, 0.000, 0.750]],
  "spacegroup": "No. 186",
  "ef_ev_per_atom": -0.81
}

[11]
{
  "formula": "HoSnAu",
  "functional": "PBE",
  "state": "optimized geometry",
  "cell": [[-3.359, -3.359, 0.000], [-3.359, 0.000, -3.359], [0.000, -3.359, -3.359]],
  "species": ["Sn", "Au", "Ho"],
  "fractional_positions": [[0.000, 0.000, 0.000], [0.250, 0.250, 0.250], [0.500, 0.500, 0.500]],
  "spacegroup": "No. 216",
  "e_ij_max_c_m2": 0.29,
  "ef_ev_per_atom": -0.85
}

[12]
{
  "formula": "HoSnAu",
  "functional": "PBE",
  "state": "optimized geometry",
  "cell": [[-2.558, 1.620, 3.618], [1.498, -4.474, -0.014], [6.199, 2.065, 3.458]],
  "species": ["Sn", "Sn", "Ho", "Ho", "Au", "Au"],
  "fractional_positions": [[0.667, 0.333, 0.250], [0.333, 0.667, 0.750], [0.000, 0.000, 0.000], [0.000, 0.000, 0.500], [0.667, 0.333, 0.750], [0.333, 0.667, 0.250]],
  "spacegroup": "No. 194",
  "ef_ev_per_atom": -0.71
}

Copy entry 3 word for word.
{
  "formula": "HoAu6",
  "functional": "PBE",
  "state": "optimized geometry",
  "cell": [[10.505, 0.000, 0.000], [0.000, 10.505, 0.000], [0.000, 0.000, 9.932]],
  "species": ["Au", "Au", "Au", "Au", "Au", "Au", "Au", "Au", "Au", "Au", "Au", "Au", "Au", "Au", "Au", "Au", "Au", "Au", "Au", "Au", "Au", "Au", "Au", "Au", "Au", "Au", "Au", "Au", "Au", "Au", "Au", "Au", "Au", "Au", "Au", "Au", "Au", "Au", "Au", "Au", "Au", "Au", "Au", "Au", "Au", "Au", "Au", "Au", "Ho", "Ho", "Ho", "Ho", "Ho", "Ho", "Ho", "Ho"],
  "fractional_positions": [[0.898, 0.602, 0.430], [0.550, 0.372, 0.605], [0.071, 0.237, 0.671], [0.571, 0.737, 0.829], [0.571, 0.263, 0.329], [0.763, 0.929, 0.829], [0.429, 0.737, 0.329], [0.763, 0.071, 0.329], [0.950, 0.872, 0.395], [0.450, 0.372, 0.105], [0.050, 0.872, 0.895], [0.500, 0.000, 0.318], [0.950, 0.128, 0.895], [0.898, 0.398, 0.930], [0.929, 0.763, 0.671], [0.372, 0.450, 0.395], [0.128, 0.950, 0.605], [0.628, 0.450, 0.895], [0.602, 0.898, 0.070], [0.000, 0.500, 0.682], [0.500, 0.000, 0.818], [0.450, 0.628, 0.605], [0.929, 0.237, 0.171], [0.102, 0.602, 0.930], [0.429, 0.263, 0.829], [0.237, 0.071, 0.829], [0.263, 0.571, 0.171], [0.628, 0.550, 0.395], [0.263, 0.429, 0.671], [0.398, 0.102, 0.070], [0.398, 0.898, 0.570], [0.372, 0.550, 0.895], [0.071, 0.763, 0.171], [0.050, 0.128, 0.395], [0.250, 0.750, 0.750], [0.128, 0.050, 0.105], [0.750, 0.250, 0.750], [0.872, 0.950, 0.105], [0.602, 0.102, 0.570], [0.237, 0.929, 0.329], [0.737, 0.429, 0.171], [0.550, 0.628, 0.105], [0.737, 0.571, 0.671], [0.872, 0.050, 0.605], [0.750, 0.750, 0.250], [0.250, 0.250, 0.250], [0.000, 0.500, 0.182], [0.102, 0.398, 0.430], [0.675, 0.825, 0.538], [0.825, 0.325, 0.462], [0.175, 0.675, 0.462], [0.675, 0.175, 0.038], [0.825, 0.675, 0.962], [0.175, 0.325, 0.962], [0.325, 0.825, 0.038], [0.325, 0.175, 0.538]],
  "spacegroup": "No. 138",
  "ef_ev_per_atom": -0.42
}